Entry 1:
# YB3H24N4 GGA-PBE optimized geometry
# Distance to the lowest polymorph of the same formula in meV/atom: 0
# E_form in eV per formula unit: -12.3
# Calculated density in g/cm3: 1.22
# Spin magnetization in μB/f.u.: 0.0
data_YB3H24N4
_cell_length_a 12.6204
_cell_length_b 11.7993
_cell_length_c 7.3411
_cell_angle_alpha 90.00
_cell_angle_beta 90.00
_cell_angle_gamma 90.00
_symmetry_space_group_name_H-M 'P n m a'
_symmetry_Int_Tables_number 62
_symmetry_space_group_name_Hall '-P 2ac 2n'
loop_
_atom_site_label
_atom_site_fract_x
_atom_site_fract_y
_atom_site_fract_z
_atom_site_occupancy
Y1 0.1558 0.2500 0.0159 1
B1 0.1163 0.7500 0.4979 1
B2 0.1589 0.0241 0.1543 1
H1 0.0580 0.1328 0.6641 1
H2 0.0637 0.6632 0.4965 1
H3 0.0694 0.7500 0.8404 1
H4 0.0756 0.0772 0.1318 1
H5 0.0756 0.6803 0.0332 1
H6 0.0797 0.2500 0.4075 1
H7 0.0846 0.0409 0.8239 1
H8 0.1585 0.5607 0.0579 1
H9 0.1692 0.0016 0.3148 1
H10 0.1698 0.7500 0.6393 1
H11 0.1763 0.7500 0.3634 1
H12 0.1796 0.0828 0.6917 1
H13 0.1925 0.1786 0.4022 1
H14 0.2349 0.0816 0.1013 1
N1 0.0416 0.7500 0.9721 1
N2 0.1138 0.1115 0.7603 1
N3 0.1552 0.2500 0.3548 1

=====

Entry 2:
# ZnB8H8N4 GGA-PBE optimized geometry
# E_form in eV per formula unit: 18.7
# Calculated density in g/cm3: 1.16
# Spin magnetization in μB/f.u.: 10.0
data_ZnB8H8N4
_cell_length_a 7.4833
_cell_length_b 7.4833
_cell_length_c 11.0333
_cell_angle_alpha 90.00
_cell_angle_beta 90.00
_cell_angle_gamma 90.00
_symmetry_space_group_name_H-M 'P 42/n m c'
_symmetry_Int_Tables_number 137
loop_
_symmetry_equiv_pos_as_xyz
'x,y,z'
'-x,-y,-z'
'-y+1/2,x,z+1/2'
'y+1/2,-x,-z+1/2'
'-x+1/2,-y+1/2,z'
'x+1/2,y+1/2,-z'
'y,-x+1/2,z+1/2'
'-y,x+1/2,-z+1/2'
'x+1/2,-y,-z'
'-x+1/2,y,z'
'-y,-x,-z+1/2'
'y,x,z+1/2'
'-x,y+1/2,-z'
'x,-y+1/2,z'
'y+1/2,x+1/2,-z+1/2'
'-y+1/2,-x+1/2,z+1/2'
loop_
_atom_site_label
_atom_site_fract_x
_atom_site_fract_y
_atom_site_fract_z
_atom_site_occupancy
Zn1 0.2500 0.7500 0.2500 1
B1 0.0864 0.7500 0.7131 1
B2 0.1331 0.7500 0.8684 1
H1 0.0349 0.7500 0.9533 1
H2 0.0739 0.2500 0.2923 1
N1 0.0300 0.7500 0.3561 1

=====

Entry 3:
# NaBH4 GGA-PBE optimized geometry
# E_form in eV per formula unit: -2.6
# Calculated density in g/cm3: 1.14
data_NaBH4
_cell_length_a 4.3269
_cell_length_b 4.3269
_cell_length_c 5.8889
_cell_angle_alpha 90.00
_cell_angle_beta 90.00
_cell_angle_gamma 90.00
_symmetry_space_group_name_H-M 'P -4 21 c'
_symmetry_Int_Tables_number 114
_symmetry_space_group_name_Hall 'P -4 2n'
loop_
_atom_site_label
_atom_site_fract_x
_atom_site_fract_y
_atom_site_fract_z
_atom_site_occupancy
Na1 0.0000 0.0000 0.0000 1
B1 0.0000 0.0000 0.5000 1
H1 0.0386 0.2281 0.6207 1

=====

Entry 4:
# NaBH4 GGA-PBE optimized geometry
# E_form in eV per formula unit: -2.5
# Calculated density in g/cm3: 0.82
# Spin magnetization in μB/f.u.: 0.0
data_NaBH4
_cell_length_a 4.6627
_cell_length_b 4.3979
_cell_length_c 7.6310
_cell_angle_alpha 90.00
_cell_angle_beta 100.78
_cell_angle_gamma 90.00
_symmetry_space_group_name_H-M 'P 1 m 1'
_symmetry_Int_Tables_number 6
_symmetry_space_group_name_Hall 'P -2y'
loop_
_atom_site_label
_atom_site_fract_x
_atom_site_fract_y
_atom_site_fract_z
_atom_site_occupancy
Na1 0.0000 0.0000 0.0000 1
Na2 0.1853 0.0000 0.4901 1
B1 0.0864 0.5000 0.2290 1
B2 0.7664 0.0000 0.6760 1
H1 0.1819 0.5000 0.0887 1
H2 0.2953 0.5000 0.3534 1
H3 0.5609 0.0000 0.7567 1
H4 0.6804 0.0000 0.5142 1
H5 0.9132 0.2305 0.7163 1
H6 0.9282 0.2791 0.2368 1

=====

Entry 5:
# NaBH4 GGA-PBE optimized geometry
# E_form in eV per formula unit: -2.6
# Calculated density in g/cm3: 1.16
# Spin magnetization in μB/f.u.: 0.0
data_NaBH4
_cell_length_a 8.1502
_cell_length_b 4.4011
_cell_length_c 6.0365
_cell_angle_alpha 90.00
_cell_angle_beta 90.00
_cell_angle_gamma 90.00
_symmetry_space_group_name_H-M 'P n m a'
_symmetry_Int_Tables_number 62
_symmetry_space_group_name_Hall '-P 2ac 2n'
loop_
_atom_site_label
_atom_site_fract_x
_atom_site_fract_y
_atom_site_fract_z
_atom_site_occupancy
Na1 0.1402 0.2500 0.2318 1
B1 0.1058 0.2500 0.7301 1
H1 0.0196 0.7500 0.3813 1
H2 0.1099 0.0237 0.8490 1
H3 0.2268 0.2500 0.6098 1

=====

Entry 6:
# NaBH4 GGA-PBE optimized geometry
# E_form in eV per formula unit: -2.6
# Calculated density in g/cm3: 0.82
# Spin magnetization in μB/f.u.: 0.0
data_NaBH4
_cell_length_a 9.7298
_cell_length_b 4.7795
_cell_length_c 6.5659
_cell_angle_alpha 90.00
_cell_angle_beta 90.00
_cell_angle_gamma 90.00
_symmetry_space_group_name_H-M 'P n m a'
_symmetry_Int_Tables_number 62
_symmetry_space_group_name_Hall '-P 2ac 2n'
loop_
_atom_site_label
_atom_site_fract_x
_atom_site_fract_y
_atom_site_fract_z
_atom_site_occupancy
Na1 0.1464 0.2500 0.0831 1
B1 0.1386 0.7500 0.8474 1
H1 0.0466 0.7500 0.7200 1
H2 0.0934 0.7500 0.0229 1
H3 0.2100 0.5406 0.8226 1

=====

Entry 7:
# NaBH4 GGA-PBE optimized geometry
# E_form in eV per formula unit: -2.4
# Calculated density in g/cm3: 0.92
# Spin magnetization in μB/f.u.: 0.0
data_NaBH4
_cell_length_a 8.6718
_cell_length_b 5.1067
_cell_length_c 6.1633
_cell_angle_alpha 90.00
_cell_angle_beta 90.00
_cell_angle_gamma 90.00
_symmetry_space_group_name_H-M 'P n m a'
_symmetry_Int_Tables_number 62
_symmetry_space_group_name_Hall '-P 2ac 2n'
loop_
_atom_site_label
_atom_site_fract_x
_atom_site_fract_y
_atom_site_fract_z
_atom_site_occupancy
Na1 0.1514 0.2500 0.2434 1
B1 0.2022 0.7500 0.3813 1
H1 0.1396 0.7500 0.2033 1
H2 0.1564 0.2500 0.8564 1
H3 0.1624 0.5595 0.4895 1

=====

Entry 8:
# NaBH4 GGA-PBE optimized geometry
# E_form in eV per formula unit: -2.6
# Calculated density in g/cm3: 1.14
data_NaBH4
_cell_length_a 4.3326
_cell_length_b 4.3326
_cell_length_c 5.8938
_cell_angle_alpha 90.00
_cell_angle_beta 90.00
_cell_angle_gamma 90.00
_symmetry_space_group_name_H-M 'P 42/n m c'
_symmetry_Int_Tables_number 137
loop_
_symmetry_equiv_pos_as_xyz
'x,y,z'
'-x,-y,-z'
'-y+1/2,x,z+1/2'
'y+1/2,-x,-z+1/2'
'-x+1/2,-y+1/2,z'
'x+1/2,y+1/2,-z'
'y,-x+1/2,z+1/2'
'-y,x+1/2,-z+1/2'
'x+1/2,-y,-z'
'-x+1/2,y,z'
'-y,-x,-z+1/2'
'y,x,z+1/2'
'-x,y+1/2,-z'
'x,-y+1/2,z'
'y+1/2,x+1/2,-z+1/2'
'-y+1/2,-x+1/2,z+1/2'
loop_
_atom_site_label
_atom_site_fract_x
_atom_site_fract_y
_atom_site_fract_z
_atom_site_occupancy
Na1 0.2500 0.7500 0.2500 1
B1 0.2500 0.7500 0.7500 1
H1 0.0183 0.7500 0.6306 1

=====

Entry 9:
# NaBH4 GGA-PBE optimized geometry
# E_form in eV per formula unit: -2.5
# Calculated density in g/cm3: 1.11
# Spin magnetization in μB/f.u.: 0.0
data_NaBH4
_cell_length_a 7.5400
_cell_length_b 4.2730
_cell_length_c 7.0214
_cell_angle_alpha 90.00
_cell_angle_beta 90.00
_cell_angle_gamma 90.00
_symmetry_space_group_name_H-M 'P n m a'
_symmetry_Int_Tables_number 62
_symmetry_space_group_name_Hall '-P 2ac 2n'
loop_
_atom_site_label
_atom_site_fract_x
_atom_site_fract_y
_atom_site_fract_z
_atom_site_occupancy
Na1 0.0108 0.2500 0.2484 1
B1 0.2266 0.7500 0.0767 1
H1 0.1100 0.2500 0.5901 1
H2 0.1640 0.7500 0.2374 1
H3 0.1805 0.5151 0.9905 1

=====

Entry 10:
# NaBH4 GGA-PBE optimized geometry
# E_form in eV per formula unit: -2.6
# Calculated density in g/cm3: 1.12
# Spin magnetization in μB/f.u.: 0.0
data_NaBH4
_cell_length_a 6.0719
_cell_length_b 6.0719
_cell_length_c 6.0719
_cell_angle_alpha 90.00
_cell_angle_beta 90.00
_cell_angle_gamma 90.00
_symmetry_space_group_name_H-M 'P -4 3 m'
_symmetry_Int_Tables_number 215
_symmetry_space_group_name_Hall 'P -4 2 3'
loop_
_atom_site_label
_atom_site_fract_x
_atom_site_fract_y
_atom_site_fract_z
_atom_site_occupancy
Na1 0.0000 0.0000 0.0000 1
Na2 0.0000 0.5000 0.5000 1
B1 0.0000 0.0000 0.5000 1
B2 0.5000 0.5000 0.5000 1
H1 0.1164 0.1164 0.3836 1
H2 0.3833 0.3833 0.6167 1

=====

Entry 11:
# NaBH4 GGA-PBE optimized geometry
# E_form in eV per formula unit: -2.6
# Calculated density in g/cm3: 1.13
data_NaBH4
_cell_length_a 6.0628
_cell_length_b 6.0628
_cell_length_c 6.0628
_cell_angle_alpha 90.00
_cell_angle_beta 90.00
_cell_angle_gamma 90.00
_symmetry_space_group_name_H-M 'F -4 3 m'
_symmetry_Int_Tables_number 216
_symmetry_space_group_name_Hall 'F -4 2 3'
loop_
_atom_site_label
_atom_site_fract_x
_atom_site_fract_y
_atom_site_fract_z
_atom_site_occupancy
Na1 0.0000 0.0000 0.0000 1
B1 0.0000 0.0000 0.5000 1
H1 0.1169 0.1169 0.3831 1

=====

Number 1: total energy -4.755 eV/atom. Number 2: total energy -4.528 eV/atom. Number 3: total energy -3.915 eV/atom. Number 4: total energy -3.886 eV/atom. Number 5: total energy -3.913 eV/atom. Number 6: total energy -3.909 eV/atom. Number 7: total energy -3.869 eV/atom. Number 8: total energy -3.916 eV/atom. Number 9: total energy -3.892 eV/atom. Number 10: total energy -3.913 eV/atom. Number 11: total energy -3.905 eV/atom.